1.
The following is a GGA-PBE calculation of a relaxed La3Ge4Rh4 crystal, from the Materials Project database.

Lattice parameters (Å, degrees): 13.1408 13.1408 13.1408 161.64 161.27 26.34
Positions (direct):
La (0.3554, 0.8554, 0.5000)
La (0.6446, 0.1446, 0.5000)
La (0.0000, 0.0000, 0.0000)
Ge (0.4508, 0.4508, 0.0000)
Ge (0.5492, 0.5492, 0.0000)
Ge (0.8018, 0.3018, 0.5000)
Ge (0.1982, 0.6982, 0.5000)
Rh (0.8999, 0.3999, 0.5000)
Rh (0.2501, 0.2501, 0.0000)
Rh (0.7499, 0.7499, 0.0000)
Rh (0.1001, 0.6001, 0.5000)

## Properties
For the total energy, the calculation gives -6.62 eV per atom. The calculation puts the formation enthalpy at 0 K at -920 meV per atom. Its space-group type is Immm, No. 71. The density comes out at 8.1 g/cm3.

---

2.
The following is a GGA-PBE calculation of a relaxed V5Ga3 crystal, from the Materials Project database.

Lattice parameters (Å, degrees): 7.3513 7.3513 4.9046 90.00 90.00 120.00
Positions (direct):
V (0.6667, 0.3333, 0.0000)
V (0.3333, 0.6667, 0.0000)
V (0.3333, 0.6667, 0.5000)
V (0.6667, 0.3333, 0.5000)
V (0.7569, 0.7569, 0.7500)
V (0.2431, 0.0000, 0.7500)
V (0.0000, 0.2431, 0.7500)
V (0.2431, 0.2431, 0.2500)
V (0.7569, 0.0000, 0.2500)
V (0.0000, 0.7569, 0.2500)
Ga (0.3942, 0.3942, 0.7500)
Ga (0.6058, 0.0000, 0.7500)
Ga (0.0000, 0.6058, 0.7500)
Ga (0.6058, 0.6058, 0.2500)
Ga (0.3942, 0.0000, 0.2500)
Ga (0.0000, 0.3942, 0.2500)

## Properties
For the total energy, the calculation gives -6.93 eV per atom. The calculation puts the formation enthalpy at 0 K at -115 meV per atom. Its space-group type is P6_3/mcm, No. 193. The density comes out at 6.7 g/cm3. The total moment comes out at 1.38 μB per formula unit.